# 1
# Li9Ni10O20

Li9Ni10O20 after structural relaxation (r2SCAN, Materials Project).

Summary:
Space group: No. 2

```
39
Lattice="-3.794 -4.050 -3.058 5.565 -5.001 -0.521 0.103 -4.753 5.828" Properties=species:S:1:pos:R:3 pbc="T T T"
Li -0.812 -8.191 2.444
Li 3.704 -8.620 3.652
Li 1.858 -7.495 1.997
Li -2.753 -6.996 0.704
Li 4.627 -6.809 1.545
Li 0.016 -6.309 0.253
Li 2.687 -5.613 -0.195
Li -1.830 -5.184 -1.403
Li 0.000 0.000 0.000
Ni 2.825 -11.196 2.945
Ni 1.934 -6.694 4.717
Ni 0.929 -10.065 1.279
Ni 2.834 -4.877 2.654
Ni 0.037 -5.525 3.069
Ni 1.838 -8.280 -0.820
Ni -1.845 -4.401 1.385
Ni -0.060 -7.110 -2.468
Ni 0.945 -3.739 0.970
Ni -0.951 -2.608 -0.696
O 4.185 -10.598 4.082
O 1.468 -11.785 1.793
O -0.493 -10.148 2.778
O 2.454 -9.441 2.263
O 0.529 -7.238 3.587
O 3.330 -6.626 3.175
O -1.326 -6.126 1.899
O 2.366 -10.013 -0.283
O 1.419 -4.931 4.211
O 0.419 -8.344 0.749
O 1.456 -5.460 1.500
O -1.455 -7.178 -0.926
O 3.201 -7.678 0.351
O -0.491 -3.791 2.532
O 0.455 -8.873 -1.961
O 1.345 -6.566 -1.338
O -0.580 -4.363 -0.014
O 0.406 -2.020 0.456
O -2.311 -3.206 -1.832
O 2.368 -3.656 -0.528
```

***

# 2
# LiNiO2

LiNiO2 after structural relaxation (r2SCAN, Materials Project).

```
16
Lattice="1.378 2.385 0.000 -4.410 2.550 0.006 -1.524 2.474 9.544" Properties=species:S:1:pos:R:3 pbc="T T T"
Li 0.021 1.579 2.315
Li -1.496 4.047 2.318
Li -4.569 5.822 7.094
Li -3.053 3.354 7.091
Ni -0.099 3.241 0.012
Ni -1.562 4.086 4.782
Ni -2.994 3.323 0.015
Ni -4.456 4.169 4.785
O -1.413 2.409 1.085
O -2.929 4.877 1.088
O -3.141 4.999 5.858
O -1.625 2.531 5.855
O 0.013 3.175 3.713
O -2.881 3.258 3.715
O -4.576 4.240 8.491
O -1.682 4.157 8.488
```

***

# 3
# LiNiO2

LiNiO2 after structural relaxation (r2SCAN, Materials Project).

Summary:
Space group: No. 166

```
4
Lattice="2.745 0.006 4.142 1.252 2.443 4.142 0.010 0.006 4.969" Properties=species:S:1:pos:R:3 pbc="T T T"
Li 0.000 0.000 0.000
Ni 2.004 1.227 6.627
O 3.041 1.863 10.059
O 0.966 0.592 3.194
```

***

# 4
# LiNiO2

LiNiO2 after structural relaxation (r2SCAN, Materials Project).

Summary:
Space group: No. 141

```
8
Lattice="-0.001 3.965 -0.001 1.983 -1.983 4.119 3.965 -0.001 0.001" Properties=species:S:1:pos:R:3 pbc="T T T"
Li 1.982 -0.002 2.060
Li 3.967 0.000 4.119
Ni 1.984 -1.983 4.119
Ni 3.965 1.981 2.060
O 1.982 1.981 2.223
O 3.965 -0.001 1.896
O 3.965 1.982 0.164
O 3.965 1.982 3.955
```

***

# 5
# LiNi2O3

LiNi2O3 after structural relaxation (r2SCAN, Materials Project).

Summary:
Space group: No. 2

```
24
Lattice="-1.625 4.019 2.470 -0.827 4.277 -2.494 -8.295 -4.043 -2.517" Properties=species:S:1:pos:R:3 pbc="T T T"
Li -8.257 3.543 -1.348
Li -3.306 3.475 -1.201
Li -7.446 2.244 -3.758
Li -2.494 0.756 -1.261
Ni -9.106 -1.280 -2.527
Ni -0.832 4.280 -2.491
Ni -7.442 0.755 -1.303
Ni -4.122 6.263 -1.246
Ni -4.970 1.500 -2.510
Ni -9.929 1.488 -2.533
Ni -5.776 2.752 -0.029
Ni -4.962 -0.012 -0.026
O -9.137 1.710 -0.826
O -5.753 -0.121 -1.923
O -4.188 3.120 -3.096
O -2.426 5.308 -1.722
O -8.297 -0.974 -0.730
O -6.610 1.010 0.488
O -4.128 1.730 -0.542
O -2.439 3.715 0.676
O -8.409 0.541 -3.126
O -6.496 2.436 -1.919
O -5.069 4.581 -0.630
O -1.529 2.458 -1.892
```

***

# 6
# Li7Ni8O16

Li7Ni8O16 after structural relaxation (r2SCAN, Materials Project).

Summary:
Space group: No. 2

```
31
Lattice="-3.853 -2.941 -4.175 2.773 -5.686 -1.505 -2.659 -5.874 3.693" Properties=species:S:1:pos:R:3 pbc="T T T"
Li -1.869 -7.250 -0.993
Li -2.913 -5.028 -2.649
Li 0.048 -5.404 -2.049
Li -0.826 -9.472 0.662
Li -4.725 -6.994 -1.534
Li 0.986 -7.506 -0.453
Li -3.787 -9.097 0.062
Ni -1.874 -9.945 -1.990
Ni -0.050 -2.671 -0.999
Ni -3.647 -6.383 1.097
Ni -0.838 -6.705 1.639
Ni -2.901 -7.795 -3.626
Ni -0.092 -8.117 -3.084
Ni -3.689 -11.830 -0.988
Ni -1.865 -4.555 0.003
O -2.277 -7.791 1.000
O -1.466 -9.254 -3.676
O -0.520 -3.381 0.678
O 1.202 -4.079 -1.156
O -2.159 -10.656 -0.262
O -5.039 -7.460 0.437
O -3.189 -5.732 -0.645
O -3.338 -8.488 -1.896
O -0.401 -6.013 -0.091
O -0.550 -8.768 -1.342
O 1.300 -7.040 -2.424
O -1.580 -3.844 -1.725
O -4.941 -10.422 -0.831
O -3.219 -11.119 -2.664
O -2.273 -5.246 1.689
O -1.462 -6.710 -2.987
```

***

# 7
# Li2Si2NiO6

Li2Si2NiO6 after structural relaxation (r2SCAN, Materials Project).

Summary:
Space group: No. 4

```
22
Lattice="4.589 0.000 0.000 0.000 5.294 0.080 0.000 0.487 9.517" Properties=species:S:1:pos:R:3 pbc="T T T"
Li 0.923 3.880 6.481
Li 3.270 4.687 4.986
Li 0.976 1.094 4.610
Li 3.218 1.902 3.116
Si 0.998 1.125 7.853
Si 3.273 1.952 6.271
Si 0.979 3.830 3.326
Si 3.293 4.656 1.744
Ni 2.891 3.731 8.475
Ni 0.596 2.050 1.121
O 1.457 2.231 8.946
O 1.417 4.895 8.056
O 3.969 1.171 7.552
O 1.627 1.761 6.428
O 3.558 3.524 6.535
O 3.673 1.304 4.873
O 1.378 4.477 4.724
O 1.264 2.258 3.061
O 3.922 4.020 3.169
O 1.674 4.610 2.045
O 3.712 0.886 1.541
O 3.752 3.550 0.651
```

***

# 8
# Li4Ti3Ni3O12

Li4Ti3Ni3O12 after structural relaxation (r2SCAN, Materials Project).

Summary:
Space group: No. 1

```
22
Lattice="4.269 2.098 -2.130 3.087 -6.839 1.384 -0.519 -3.391 -4.388" Properties=species:S:1:pos:R:3 pbc="T T T"
Li 4.821 -3.726 -1.276
Li 2.059 -4.287 -3.987
Li 2.291 -7.316 -3.449
Li 3.971 0.291 -4.213
Ti 4.473 -0.783 -1.684
Ti 1.814 -1.516 -4.339
Ti 2.563 -5.589 -1.217
Ni 4.557 -5.428 -3.432
Ni 2.278 -2.713 -1.722
Ni 4.264 2.085 -2.132
O 5.329 -4.124 -4.574
O 6.056 -4.936 -2.286
O 5.596 -6.906 -4.155
O 2.930 -2.749 -5.268
O 3.102 -1.229 -2.929
O 3.778 -2.228 -0.481
O 3.310 -4.283 -2.460
O 3.778 -6.772 -2.342
O 3.857 -5.360 0.173
O 0.972 -2.791 -3.216
O 1.053 -1.573 -0.631
O 1.509 -4.174 -0.465
```

***

It is found that the VASP energy values, taken in the order of the records, are -320.6; -130.2; -32.6; -65.1; -211.7; -255.1; -194.0; -207.1 eV for the cell shown.
It is found that the energy of formation values, taken in the order of the records, are -1.53; -1.56; -1.56; -1.56; -1.44; -1.52; -2.44; -2.33 eV/atom.